(1)
! CsZrOF5 | the Materials Project | PBE-GGA | optimized geometry; values from VASP
&SYSTEM
  ibrav = 0, nat = 16, ntyp = 4
/
ATOMIC_SPECIES
Zr 91.22 Zr.upf
F 19.00 F.upf
O 16.00 O.upf
Cs 132.91 Cs.upf
ATOMIC_POSITIONS crystal
Zr 0.776 0.084 0.847
F 0.581 0.263 0.655
F 0.419 0.737 0.345
O 0.995 0.741 0.400
F 0.809 0.903 0.702
Cs 0.348 0.639 0.728
F 0.148 0.964 0.884
F 0.429 0.173 0.987
F 0.899 0.352 0.839
O 0.005 0.259 0.600
F 0.852 0.036 0.116
Cs 0.652 0.361 0.272
F 0.571 0.827 0.013
Zr 0.224 0.916 0.153
F 0.101 0.648 0.161
F 0.191 0.097 0.298
CELL_PARAMETERS angstrom
-0.577 3.367 -4.086
-7.002 1.347 1.167
-0.653 7.293 4.181
! Theoretical density in g/cm³: 3.7
! Energy of formation in kcal/mol of atoms: -71.2
! Calculated volume in A^3/atom: 18.9
! M_tot in μB per atom: 0.250


(2)
! Nd2GeB2O8 | the Materials Project | PBE-GGA | optimized geometry; values from VASP
&SYSTEM
  ibrav = 0, nat = 52, ntyp = 4
/
ATOMIC_SPECIES
O 16.00 O.upf
Nd 144.24 Nd.upf
Ge 72.64 Ge.upf
B 10.81 B.upf
ATOMIC_POSITIONS crystal
O 0.705 0.900 0.505
Nd 0.458 0.974 0.360
Ge 0.577 0.250 0.000
B 0.467 0.296 0.799
O 0.295 0.400 0.505
Nd 0.542 0.474 0.360
Nd 0.542 0.026 0.640
B 0.533 0.704 0.201
O 0.462 0.446 0.807
O 0.773 0.240 0.781
B 0.033 0.796 0.701
O 0.850 0.233 0.607
O 0.205 0.600 0.005
O 0.705 0.600 0.495
O 0.650 0.767 0.107
O 0.150 0.733 0.607
O 0.962 0.054 0.307
O 0.295 0.100 0.495
O 0.538 0.554 0.193
Nd 0.042 0.026 0.860
O 0.350 0.267 0.107
O 0.850 0.267 0.393
O 0.038 0.554 0.307
O 0.962 0.446 0.693
Nd 0.458 0.526 0.640
O 0.727 0.740 0.719
O 0.273 0.260 0.281
Nd 0.958 0.974 0.140
Ge 0.077 0.250 0.500
O 0.150 0.767 0.393
O 0.538 0.946 0.807
O 0.227 0.760 0.219
O 0.795 0.400 0.995
O 0.038 0.946 0.693
O 0.273 0.240 0.719
Ge 0.423 0.750 0.000
Nd 0.958 0.526 0.860
O 0.462 0.054 0.193
B 0.967 0.296 0.701
B 0.967 0.204 0.299
O 0.773 0.260 0.219
O 0.650 0.733 0.893
O 0.350 0.233 0.893
O 0.205 0.900 0.995
B 0.033 0.704 0.299
O 0.727 0.760 0.281
O 0.227 0.740 0.781
B 0.467 0.204 0.201
O 0.795 0.100 0.005
Nd 0.042 0.474 0.140
B 0.533 0.796 0.799
Ge 0.923 0.750 0.500
CELL_PARAMETERS angstrom
4.520 0.000 0.000
0.000 9.583 0.000
0.000 0.000 13.836
! Theoretical density in g/cm³: 5.7
! Energy of formation in kcal/mol of atoms: -73.0
! Calculated volume in A^3/atom: 11.5


(3)
! Li5Y2Sb4 | the Materials Project | PBE-GGA | optimized geometry; values from VASP
&SYSTEM
  ibrav = 0, nat = 11, ntyp = 3
/
ATOMIC_SPECIES
Li 6.94 Li.upf
Sb 121.76 Sb.upf
Y 88.91 Y.upf
ATOMIC_POSITIONS crystal
Li 0.827 0.827 0.508
Li 0.673 0.673 0.993
Sb 0.623 0.623 0.710
Sb 0.873 0.873 0.800
Li 0.175 0.175 0.492
Y 0.999 0.999 0.001
Sb 0.121 0.121 0.214
Li 0.257 0.257 0.763
Li 0.759 0.759 0.223
Y 0.497 0.497 0.502
Sb 0.373 0.373 0.284
CELL_PARAMETERS angstrom
-0.403 -2.857 7.905
3.842 -3.515 6.610
2.480 4.801 5.691
! Theoretical density in g/cm³: 4.6
! Energy of formation in kcal/mol of atoms: -19.6
! Calculated volume in A^3/atom: 22.8
! M_tot in μB per atom: 0.001


(4)
! NaCa2Zr2PS5O24 | the Materials Project | PBE-GGA | optimized geometry; values from VASP
&SYSTEM
  ibrav = 0, nat = 105, ntyp = 6
/
ATOMIC_SPECIES
P 30.97 P.upf
O 16.00 O.upf
S 32.06 S.upf
Ca 40.08 Ca.upf
Zr 91.22 Zr.upf
Na 22.99 Na.upf
ATOMIC_POSITIONS crystal
P 0.714 0.718 0.252
O 0.007 0.205 0.906
P 0.282 0.994 0.252
O 0.347 0.487 0.363
O 0.459 0.147 0.250
S 0.671 0.044 0.085
O 0.534 0.836 0.760
Ca 0.667 0.332 0.683
O 0.303 0.465 0.759
O 0.303 0.443 0.464
O 0.558 0.861 0.464
Zr 0.323 0.658 0.812
O 0.201 0.171 0.093
O 0.337 0.867 0.577
O 0.630 0.495 0.923
Na 0.338 0.670 0.162
S 0.043 0.666 0.413
O 0.191 0.021 0.597
O 0.214 0.191 0.801
S 0.956 0.625 0.085
O 0.872 0.515 0.414
O 0.788 0.972 0.700
Na 0.670 0.333 0.828
O 0.800 0.827 0.198
S 0.372 0.329 0.085
S 0.962 0.327 0.585
Ca 0.666 0.334 0.486
S 0.704 0.994 0.752
O 0.503 0.137 0.923
O 0.857 0.290 0.534
Ca 0.999 0.003 0.856
Na 0.659 0.335 0.332
O 0.132 0.500 0.864
Zr 0.998 0.000 0.647
O 0.456 0.307 0.034
O 0.711 0.568 0.534
S 0.628 0.960 0.413
O 0.345 0.475 0.079
O 0.026 0.816 0.700
O 0.508 0.630 0.866
O 0.547 0.680 0.968
O 0.164 0.460 0.258
O 0.130 0.657 0.078
O 0.474 0.353 0.135
O 0.140 0.694 0.464
O 0.693 0.151 0.033
Zr 0.340 0.673 0.312
O 0.029 0.208 0.200
O 0.797 0.978 0.401
O 0.431 0.142 0.534
P 0.040 0.379 0.917
O 0.857 0.308 0.248
O 0.980 0.788 0.802
S 0.620 0.658 0.916
O 0.821 0.817 0.303
O 0.859 0.537 0.745
O 0.644 0.128 0.414
O 0.025 0.820 0.403
O 0.831 0.034 0.092
S 0.002 0.710 0.752
O 0.323 0.867 0.968
Zr 0.002 0.995 0.354
S 0.341 0.961 0.916
O 0.850 0.541 0.033
O 0.527 0.872 0.078
S 0.331 0.375 0.413
O 0.790 0.796 0.907
O 0.882 0.352 0.634
O 0.808 0.019 0.801
O 0.830 0.808 0.597
Ca 0.661 0.333 0.190
O 0.177 0.205 0.401
O 0.978 0.171 0.597
S 0.291 0.293 0.751
O 0.138 0.652 0.363
O 0.372 0.879 0.866
O 0.695 0.543 0.250
Ca 0.334 0.667 0.522
O 0.185 0.212 0.700
O 0.138 0.461 0.970
O 0.857 0.369 0.924
Zr 0.672 0.332 0.978
S 0.673 0.635 0.585
O 0.470 0.117 0.634
O 0.133 0.470 0.577
O 0.515 0.864 0.363
S 0.364 0.037 0.585
O 0.482 0.356 0.413
O 0.534 0.704 0.258
O 0.677 0.140 0.744
O 0.878 0.524 0.135
S 0.007 0.288 0.251
Zr 0.999 0.991 0.146
O 0.200 0.988 0.907
O 0.966 0.796 0.091
O 0.186 0.008 0.303
O 0.648 0.123 0.135
O 0.173 0.973 0.198
O 0.991 0.185 0.302
O 0.648 0.529 0.635
O 0.464 0.323 0.744
O 0.293 0.827 0.258
Ca 0.332 0.664 0.017
O 0.530 0.663 0.577
O 0.164 0.700 0.758
CELL_PARAMETERS angstrom
-2.763 -6.966 5.156
-2.732 0.631 -8.670
18.859 -12.611 -6.947
! Theoretical density in g/cm³: 2.5
! Energy of formation in kcal/mol of atoms: -59.7
! Calculated volume in A^3/atom: 16.2
! M_tot in μB per atom: 0.000


(5)
! BaTi6O12 | the Materials Project | PBE-GGA | optimized geometry; values from VASP
&SYSTEM
  ibrav = 0, nat = 38, ntyp = 3
/
ATOMIC_SPECIES
Ti 47.87 Ti.upf
O 16.00 O.upf
Ba 137.33 Ba.upf
ATOMIC_POSITIONS crystal
Ti 0.170 0.350 0.520
O 0.164 0.792 0.290
O 0.836 0.208 0.710
Ba 0.781 0.781 0.000
O 0.488 0.134 0.955
O 0.874 0.164 0.372
Ti 0.016 0.499 0.185
O 0.164 0.540 0.704
O 0.468 0.512 0.646
Ti 0.499 0.315 0.483
O 0.532 0.488 0.354
O 0.848 0.197 0.045
Ti 0.501 0.685 0.517
Ti 0.168 0.984 0.483
Ba 0.219 0.219 0.000
O 0.501 0.874 0.710
O 0.792 0.501 0.628
O 0.836 0.460 0.296
Ti 0.315 0.832 0.815
O 0.512 0.866 0.045
O 0.803 0.848 0.651
O 0.197 0.152 0.349
O 0.208 0.499 0.372
O 0.866 0.822 0.354
Ti 0.350 0.830 0.180
O 0.822 0.468 0.955
Ti 0.984 0.501 0.815
O 0.134 0.178 0.646
Ti 0.832 0.016 0.517
Ti 0.685 0.168 0.185
O 0.460 0.164 0.624
O 0.152 0.803 0.955
O 0.126 0.836 0.628
O 0.499 0.126 0.290
O 0.178 0.532 0.045
O 0.540 0.836 0.376
Ti 0.650 0.170 0.820
Ti 0.830 0.650 0.480
CELL_PARAMETERS angstrom
-5.118 5.118 4.479
5.118 -5.118 4.479
5.118 5.118 -4.479
! Theoretical density in g/cm³: 4.4
! Energy of formation in kcal/mol of atoms: -80.1
! Calculated volume in A^3/atom: 12.3


(6)
! Hf3Al3C5 | the Materials Project | PBE-GGA | optimized geometry; values from VASP
&SYSTEM
  ibrav = 0, nat = 22, ntyp = 3
/
ATOMIC_SPECIES
C 12.01 C.upf
Al 26.98 Al.upf
Hf 178.49 Hf.upf
ATOMIC_POSITIONS crystal
C 0.000 0.000 0.151
Al 0.000 0.000 0.250
Al 0.667 0.333 0.824
Al 0.333 0.667 0.324
Al 0.000 0.000 0.750
Hf 0.000 0.000 0.000
Hf 0.667 0.333 0.094
Hf 0.333 0.667 0.906
Al 0.333 0.667 0.176
C 0.333 0.667 0.450
Hf 0.667 0.333 0.406
C 0.000 0.000 0.849
Al 0.667 0.333 0.676
C 0.000 0.000 0.349
C 0.667 0.333 0.950
Hf 0.333 0.667 0.594
Hf 0.000 0.000 0.500
C 0.333 0.667 0.050
C 0.667 0.333 0.550
C 0.000 0.000 0.651
C 0.667 0.333 0.750
C 0.333 0.667 0.250
CELL_PARAMETERS angstrom
1.664 -2.882 0.000
1.664 2.882 0.000
0.000 0.000 27.503
! Theoretical density in g/cm³: 8.5
! Energy of formation in kcal/mol of atoms: -13.4
! Calculated volume in A^3/atom: 12.0